Density functional theory data (r²SCAN) for crystalline La4Sb2Pb at its relaxed geometry.

Lattice parameters (Å, degrees): 8.4764 8.4764 8.4764 109.48 109.48 109.46
Fractional positions:
La: 0.1251 0.7340 0.7465
La: 0.1286 0.2375 0.7535
La: 0.2660 0.0125 0.3912
La: 0.4840 0.3751 0.2465
La: 0.6214 0.8749 0.6088
La: 0.6249 0.8714 0.1088
La: 0.7625 0.5160 0.8912
La: 0.9875 0.3786 0.2535
Sb: 0.2500 0.6250 0.1250
Sb: 0.3750 0.5000 0.6250
Sb: 0.5000 0.1250 0.8750
Sb: 0.8750 0.7500 0.3750
Pb: 0.0000 0.0000 0.0000
Pb: 0.7500 0.2500 0.5000

Output
Magnetic moment   1.590 Bohr magnetons per cell
E   -33.5461 eV/atom
ρ   7129 kg/m³
Energy of formation   -112.28 kJ/mol of atoms
Volume   468.8 Å³/cell

***

Density functional theory data (r²SCAN) for crystalline KNaSe at its relaxed geometry.

Lattice parameters (Å, degrees): 8.0738 4.7987 8.6396 90.00 90.00 90.00
Fractional positions:
K: 0.0125 0.2500 0.1855
K: 0.4875 0.7500 0.6855
K: 0.5125 0.2500 0.3145
K: 0.9875 0.7500 0.8145
Na: 0.1460 0.2500 0.5756
Na: 0.3540 0.7500 0.0756
Na: 0.6460 0.2500 0.9244
Na: 0.8540 0.7500 0.4244
Se: 0.2196 0.7500 0.3952
Se: 0.2804 0.2500 0.8952
Se: 0.7196 0.7500 0.1048
Se: 0.7804 0.2500 0.6048

Output
Magnetic moment   0.000 Bohr magnetons per cell
E   -9.2779 eV/atom
ρ   2799 kg/m³
Energy of formation   -126.71 kJ/mol of atoms
Volume   334.7 Å³/cell

***

Density functional theory data (r²SCAN) for crystalline Ca3Mg at its relaxed geometry.

Lattice parameters (Å, degrees): 3.9605 6.0413 6.2608 90.00 90.00 90.00
Fractional positions:
Ca: 0.0000 0.0000 0.0000
Ca: 0.0000 0.5000 0.3785
Ca: 0.5000 0.0000 0.5140
Mg: 0.5000 0.5000 0.8669

Output
Magnetic moment   0.307 Bohr magnetons per cell
E   -6.2886 eV/atom
ρ   1602 kg/m³
Energy of formation   3.13 kJ/mol of atoms
Volume   149.8 Å³/cell

***

Density functional theory data (r²SCAN) for crystalline YMg3 at its relaxed geometry.

Lattice parameters (Å, degrees): 5.1616 5.1616 5.1616 60.00 60.00 60.00
Fractional positions:
Y: 0.0000 0.0000 0.0000
Mg: 0.2500 0.2500 0.2500
Mg: 0.5000 0.5000 0.5000
Mg: 0.7500 0.7500 0.7500

Output
Magnetic moment   0.000 Bohr magnetons per cell
E   -8.2919 eV/atom
ρ   2763 kg/m³
Energy of formation   -8.35 kJ/mol of atoms
Volume   97.2 Å³/cell

***

Density functional theory data (r²SCAN) for crystalline Rb4Sn21Hg2 at its relaxed geometry.

Lattice parameters (Å, degrees): 12.3173 12.3210 12.3210 89.97 90.00 90.00
Fractional positions:
Rb: 0.0000 0.0000 0.0000
Rb: 0.2500 0.4750 0.2458
Rb: 0.2500 0.4755 0.7274
Rb: 0.2500 0.9880 0.4860
Rb: 0.5000 0.0000 0.0000
Rb: 0.7500 0.2458 0.4750
Rb: 0.7500 0.4860 0.9880
Rb: 0.7500 0.7274 0.4755
Sn: 0.0567 0.6029 0.9870
Sn: 0.0643 0.3666 0.9868
Sn: 0.0656 0.8029 0.3057
Sn: 0.0670 0.1691 0.3046
Sn: 0.0672 0.8014 0.6693
Sn: 0.0684 0.1705 0.6711
Sn: 0.1317 0.2985 0.4867
Sn: 0.1324 0.6728 0.4868
Sn: 0.2500 0.1065 0.8022
Sn: 0.2500 0.1072 0.1745
Sn: 0.2500 0.7366 0.9872
Sn: 0.2500 0.8705 0.1808
Sn: 0.2500 0.8713 0.7945
Sn: 0.3683 0.2985 0.4867
Sn: 0.3676 0.6728 0.4868
Sn: 0.4316 0.1705 0.6711
Sn: 0.4330 0.1691 0.3046
Sn: 0.4328 0.8014 0.6693
Sn: 0.4344 0.8029 0.3057
Sn: 0.4357 0.3666 0.9868
Sn: 0.4433 0.6029 0.9870
Sn: 0.5567 0.9870 0.6029
Sn: 0.5643 0.9868 0.3666
Sn: 0.5656 0.3057 0.8029
Sn: 0.5670 0.3046 0.1691
Sn: 0.5672 0.6693 0.8014
Sn: 0.5684 0.6711 0.1705
Sn: 0.6317 0.4867 0.2985
Sn: 0.6324 0.4868 0.6728
Sn: 0.7500 0.1745 0.1072
Sn: 0.7500 0.1808 0.8705
Sn: 0.7500 0.7945 0.8713
Sn: 0.7500 0.8022 0.1065
Sn: 0.7500 0.9872 0.7366
Sn: 0.8683 0.4867 0.2985
Sn: 0.8676 0.4868 0.6728
Sn: 0.9316 0.6711 0.1705
Sn: 0.9330 0.3046 0.1691
Sn: 0.9328 0.6693 0.8014
Sn: 0.9344 0.3057 0.8029
Sn: 0.9357 0.9868 0.3666
Sn: 0.9433 0.9870 0.6029
Hg: 0.0000 0.4860 0.4860
Hg: 0.2500 0.2366 0.9879
Hg: 0.5000 0.4860 0.4860
Hg: 0.7500 0.9879 0.2366

Output
Magnetic moment   0.000 Bohr magnetons per cell
E   -25.1652 eV/atom
ρ   5747 kg/m³
Energy of formation   -19.05 kJ/mol of atoms
Volume   1869.9 Å³/cell

***

Density functional theory data (r²SCAN) for crystalline Bi2Se4Cl7 at its relaxed geometry.

Lattice parameters (Å, degrees): 10.5505 11.8502 13.6617 75.61 85.66 68.58
Fractional positions:
Bi: 0.0004 0.1628 0.1937
Bi: 0.9996 0.8372 0.8063
Bi: 0.2137 0.9623 0.5053
Bi: 0.3227 0.9416 0.0086
Bi: 0.3642 0.1594 0.6826
Bi: 0.6358 0.8406 0.3174
Bi: 0.6773 0.0584 0.9914
Bi: 0.7863 0.0377 0.4947
Se: 0.0620 0.5127 0.2986
Se: 0.1233 0.6038 0.4113
Se: 0.1458 0.6136 0.1539
Se: 0.2554 0.4523 0.0739
Se: 0.3514 0.4709 0.4170
Se: 0.3982 0.3065 0.2069
Se: 0.4046 0.5817 0.2635
Se: 0.4598 0.5792 0.8116
Se: 0.5402 0.4208 0.1884
Se: 0.5954 0.4183 0.7365
Se: 0.6018 0.6935 0.7931
Se: 0.6486 0.5291 0.5830
Se: 0.7446 0.5477 0.9261
Se: 0.8542 0.3864 0.8461
Se: 0.8767 0.3962 0.5887
Se: 0.9380 0.4873 0.7014
Cl: 0.0291 0.9291 0.3938
Cl: 0.0889 0.6005 0.8418
Cl: 0.1330 0.1982 0.0289
Cl: 0.1723 0.1210 0.7979
Cl: 0.1750 0.8984 0.1636
Cl: 0.1891 0.7693 0.6313
Cl: 0.2011 0.1480 0.3023
Cl: 0.2084 0.2301 0.5267
Cl: 0.2330 0.7916 0.9280
Cl: 0.2975 0.3924 0.6785
Cl: 0.3944 0.7975 0.4180
Cl: 0.4270 0.9242 0.6273
Cl: 0.4656 0.0114 0.1301
Cl: 0.4844 0.2689 0.9284
Cl: 0.5156 0.7311 0.0716
Cl: 0.5344 0.9886 0.8699
Cl: 0.5730 0.0758 0.3727
Cl: 0.6056 0.2025 0.5820
Cl: 0.7025 0.6076 0.3215
Cl: 0.7670 0.2084 0.0720
Cl: 0.7916 0.7699 0.4733
Cl: 0.7989 0.8520 0.6977
Cl: 0.8109 0.2307 0.3687
Cl: 0.8250 0.1016 0.8364
Cl: 0.8277 0.8790 0.2021
Cl: 0.8670 0.8018 0.9711
Cl: 0.9111 0.3995 0.1582
Cl: 0.9709 0.0709 0.6062

Output
Magnetic moment   0.000 Bohr magnetons per cell
E   -17.4123 eV/atom
ρ   4235 kg/m³
Energy of formation   -67.11 kJ/mol of atoms
Volume   1540.0 Å³/cell

***

Density functional theory data (r²SCAN) for crystalline PrNi3 at its relaxed geometry.

Lattice parameters (Å, degrees): 8.7041 8.7041 8.7041 33.52 33.52 33.52
Fractional positions:
Pr: 0.0000 0.0000 0.0000
Pr: 0.1385 0.1385 0.1385
Pr: 0.8615 0.8615 0.8615
Ni: 0.0807 0.5794 0.5794
Ni: 0.3328 0.3328 0.3328
Ni: 0.4206 0.4206 0.9193
Ni: 0.4206 0.9193 0.4206
Ni: 0.5000 0.5000 0.5000
Ni: 0.5794 0.0807 0.5794
Ni: 0.5794 0.5794 0.0807
Ni: 0.6672 0.6672 0.6672
Ni: 0.9193 0.4206 0.4206

Output
Magnetic moment   1.560 Bohr magnetons per cell
E   -16.5711 eV/atom
ρ   8817 kg/m³
Energy of formation   -22.56 kJ/mol of atoms
Volume   179.1 Å³/cell

***

Density functional theory data (r²SCAN) for crystalline La6ZnSb15 at its relaxed geometry.

Lattice parameters (Å, degrees): 12.7684 12.7684 4.3353 99.77 99.77 100.82
Fractional positions:
La: 0.1326 0.8674 0.0000
La: 0.1372 0.4108 0.2753
La: 0.4108 0.1372 0.2753
La: 0.4582 0.8075 0.1340
La: 0.8075 0.4582 0.1340
La: 0.8674 0.1326 0.0000
Zn: 0.8784 0.8784 0.8761
Sb: 0.0485 0.6506 0.3491
Sb: 0.1469 0.1469 0.1479
Sb: 0.2174 0.6251 0.9236
Sb: 0.2786 0.2786 0.7791
Sb: 0.3360 0.9352 0.6366
Sb: 0.3777 0.5933 0.4853
Sb: 0.5258 0.5258 0.0286
Sb: 0.5933 0.3777 0.4853
Sb: 0.6251 0.2174 0.9236
Sb: 0.6506 0.0485 0.3491
Sb: 0.6675 0.8835 0.7773
Sb: 0.7090 0.7090 0.2083
Sb: 0.8835 0.6675 0.7773
Sb: 0.9352 0.3360 0.6366
Sb: 0.9831 0.9831 0.4820

Output
Magnetic moment   0.000 Bohr magnetons per cell
E   -26.9039 eV/atom
ρ   6763 kg/m³
Energy of formation   -82.94 kJ/mol of atoms
Volume   669.1 Å³/cell

***

Density functional theory data (r²SCAN) for crystalline Tb6IrI10 at its relaxed geometry.

Lattice parameters (Å, degrees): 7.7222 9.6384 9.7502 107.48 97.14 104.85
Fractional positions:
Tb: 0.0299 0.2206 0.4172
Tb: 0.1154 0.5417 0.2563
Tb: 0.3534 0.6275 0.6686
Tb: 0.6466 0.3725 0.3314
Tb: 0.8846 0.4583 0.7437
Tb: 0.9701 0.7794 0.5828
Ir: 0.0000 0.5000 0.5000
I: 0.0851 0.8714 0.3189
I: 0.2125 0.2372 0.1494
I: 0.2645 0.5899 0.9647
I: 0.3549 0.9560 0.7742
I: 0.4517 0.3133 0.5908
I: 0.5483 0.6867 0.4092
I: 0.6451 0.0440 0.2258
I: 0.7355 0.4101 0.0353
I: 0.7875 0.7628 0.8506
I: 0.9149 0.1286 0.6811

Output
Magnetic moment   0.994 Bohr magnetons per cell
E   -30.0605 eV/atom
ρ   6141 kg/m³
Energy of formation   -146.00 kJ/mol of atoms
Volume   652.9 Å³/cell

***

Density functional theory data (r²SCAN) for crystalline UV2O8 at its relaxed geometry.

Lattice parameters (Å, degrees): 5.7521 11.9815 10.5532 90.00 90.00 90.00
Fractional positions:
U: 0.0729 0.2500 0.1004
U: 0.4271 0.7500 0.6004
U: 0.5729 0.2500 0.3996
U: 0.9271 0.7500 0.8996
V: 0.1840 0.5709 0.1660
V: 0.1840 0.9291 0.1660
V: 0.3160 0.0709 0.6660
V: 0.3160 0.4291 0.6660
V: 0.6840 0.5709 0.3340
V: 0.6840 0.9291 0.3340
V: 0.8160 0.0709 0.8340
V: 0.8160 0.4291 0.8340
O: 0.0479 0.1127 0.7349
O: 0.0479 0.3873 0.7349
O: 0.1499 0.6319 0.0248
O: 0.1499 0.8681 0.0248
O: 0.1552 0.7500 0.7778
O: 0.1791 0.0672 0.1507
O: 0.1791 0.4328 0.1507
O: 0.2025 0.7500 0.4841
O: 0.2975 0.2500 0.9841
O: 0.3209 0.5672 0.6507
O: 0.3209 0.9328 0.6507
O: 0.3448 0.2500 0.2778
O: 0.3501 0.1319 0.5248
O: 0.3501 0.3681 0.5248
O: 0.4521 0.6127 0.2349
O: 0.4521 0.8873 0.2349
O: 0.5479 0.1127 0.7651
O: 0.5479 0.3873 0.7651
O: 0.6499 0.6319 0.4752
O: 0.6499 0.8681 0.4752
O: 0.6552 0.7500 0.7222
O: 0.6791 0.0672 0.3493
O: 0.6791 0.4328 0.3493
O: 0.7025 0.7500 0.0159
O: 0.7975 0.2500 0.5159
O: 0.8209 0.5672 0.8493
O: 0.8209 0.9328 0.8493
O: 0.8448 0.2500 0.2222
O: 0.8501 0.1319 0.9752
O: 0.8501 0.3681 0.9752
O: 0.9521 0.6127 0.2651
O: 0.9521 0.8873 0.2651

Output
Magnetic moment   0.000 Bohr magnetons per cell
E   -16.9349 eV/atom
ρ   4273 kg/m³
Energy of formation   -266.50 kJ/mol of atoms
Volume   727.3 Å³/cell

***

Density functional theory data (r²SCAN) for crystalline Ti10CrSb5 at its relaxed geometry.

Lattice parameters (Å, degrees): 7.8584 7.8584 7.8584 96.42 96.42 140.93
Fractional positions:
Ti: 0.0000 0.5000 0.5000
Ti: 0.0493 0.1900 0.7093
Ti: 0.1900 0.4807 0.1407
Ti: 0.3400 0.0493 0.8593
Ti: 0.4807 0.3400 0.2907
Ti: 0.5000 0.0000 0.5000
Ti: 0.5193 0.8100 0.8593
Ti: 0.6600 0.5193 0.7093
Ti: 0.8100 0.9507 0.2907
Ti: 0.9507 0.6600 0.1407
Cr: 0.5000 0.5000 0.0000
Sb: 0.0000 0.0000 0.0000
Sb: 0.0868 0.9132 0.5000
Sb: 0.4132 0.5868 0.5000
Sb: 0.5868 0.0868 0.1735
Sb: 0.9132 0.4132 0.8265

Output
Magnetic moment   0.010 Bohr magnetons per cell
E   -17.5331 eV/atom
ρ   6564 kg/m³
Energy of formation   -45.51 kJ/mol of atoms
Volume   288.2 Å³/cell

***

Density functional theory data (r²SCAN) for crystalline Rb3FeO3 at its relaxed geometry.

Lattice parameters (Å, degrees): 7.6404 6.8210 10.9486 90.00 95.15 90.00
Fractional positions:
Rb: 0.0453 0.1222 0.1520
Rb: 0.0453 0.3778 0.6520
Rb: 0.3612 0.1813 0.9300
Rb: 0.3612 0.3187 0.4300
Rb: 0.3626 0.6861 0.8032
Rb: 0.3626 0.8139 0.3032
Rb: 0.6374 0.1861 0.6968
Rb: 0.6374 0.3139 0.1968
Rb: 0.6388 0.6813 0.5700
Rb: 0.6388 0.8187 0.0700
Rb: 0.9547 0.6222 0.3480
Rb: 0.9547 0.8778 0.8480
Fe: 0.1539 0.5792 0.0635
Fe: 0.1539 0.9208 0.5635
Fe: 0.8461 0.0792 0.4365
Fe: 0.8461 0.4208 0.9365
O: 0.0958 0.0527 0.4061
O: 0.0958 0.4473 0.9061
O: 0.2441 0.6715 0.5392
O: 0.2441 0.8285 0.0392
O: 0.2953 0.0615 0.6781
O: 0.2953 0.4385 0.1781
O: 0.7047 0.5615 0.8219
O: 0.7047 0.9385 0.3219
O: 0.7559 0.1715 0.9608
O: 0.7559 0.3285 0.4608
O: 0.9042 0.5527 0.0939
O: 0.9042 0.9473 0.5939

Output
Magnetic moment   20.000 Bohr magnetons per cell
E   -12.1529 eV/atom
ρ   4211 kg/m³
Polymorph energy (0 for the lowest one)   12.3 meV/atom
Energy of formation   -150.89 kJ/mol of atoms
Volume   568.3 Å³/cell